# 1
## KLiC4N6 (PBE)

Data for a geometry-optimized KLiC4N6 structure.

Output
Final energy in eV for the cell shown: -182.2
E_form in eV per atom: -0.28

Cell lengths 8.7753, 8.7753, 8.7753 Å; angles 130.96, 130.96, 71.88 degrees
Last column: nearest neighbours and their distance in Å.
Positions (direct):
1 K 0.2500 0.2500 0.0000  8 N 3.05
2 K 0.7500 0.7500 0.0000  8 N 3.05
3 Li 0.2500 0.7500 0.5000  4 N 2.07
4 Li 0.7500 0.2500 0.5000  4 N 2.07
5 C 0.1170 0.6170 0.8957  2 N 1.18-1.29
6 C 0.2214 0.1170 0.5000  2 N 1.18-1.29
7 C 0.2786 0.7786 0.8957  2 N 1.18-1.29
8 C 0.3830 0.2786 0.5000  2 N 1.18-1.29
9 C 0.6170 0.7214 0.5000  2 N 1.18-1.29
10 C 0.7214 0.2214 0.1043  2 N 1.18-1.29
11 C 0.7786 0.8830 0.5000  2 N 1.18-1.29
12 C 0.8830 0.3830 0.1043  2 N 1.18-1.29
13 N 0.0027 0.5027 0.1889  1 C 1.18
14 N 0.1863 0.9973 0.5000  1 C 1.18
15 N 0.2443 0.2557 0.5000  2 C 1.29
16 N 0.2557 0.7557 0.0115  2 C 1.29
17 N 0.3137 0.8137 0.8111  1 C 1.18
18 N 0.4973 0.6863 0.5000  1 C 1.18
19 N 0.5027 0.3137 0.5000  1 C 1.18
20 N 0.6863 0.1863 0.1889  1 C 1.18
21 N 0.7443 0.2443 0.9885  2 C 1.29
22 N 0.7557 0.7443 0.5000  2 C 1.29
23 N 0.8137 0.0027 0.5000  1 C 1.18
24 N 0.9973 0.4973 0.8111  1 C 1.18

=====

# 2
## K2LiC3S3N3 (PBE)

Data for a geometry-optimized K2LiC3S3N3 structure.

Output
Final energy in eV for the cell shown: -297.8
E_form in eV per atom: -0.65

Cell lengths 12.3934, 9.6635, 8.7259 Å; angles 90.00, 90.00, 90.00 degrees
Last column: nearest neighbours and their distance in Å.
Positions (direct):
1 K 0.1704 0.1177 0.0000  3 N 2.98-3.17, 1 S 3.29
2 K 0.1762 0.1302 0.5013  3 N 3.01-3.09, 1 S 3.31
3 K 0.3238 0.6302 0.0013  3 N 3.01-3.09, 1 S 3.31
4 K 0.3296 0.6177 0.5000  3 N 2.98-3.17, 1 S 3.29
5 K 0.6704 0.3823 0.0000  3 N 2.98-3.17, 1 S 3.29
6 K 0.6762 0.3698 0.5013  3 N 3.01-3.09, 1 S 3.31
7 K 0.8238 0.8698 0.0013  3 N 3.01-3.09, 1 S 3.31
8 K 0.8296 0.8823 0.5000  3 N 2.98-3.17, 1 S 3.29
9 Li 0.0822 0.4650 0.3586  3 N 2.03-2.11
10 Li 0.4178 0.9650 0.8586  3 N 2.03-2.11
11 Li 0.5822 0.0350 0.3586  3 N 2.03-2.11
12 Li 0.9178 0.5350 0.8586  3 N 2.03-2.11
13 C 0.0472 0.7689 0.7475  1 N 1.19
14 C 0.1119 0.7503 0.2549  1 N 1.19
15 C 0.1317 0.4336 0.7074  1 N 1.19
16 C 0.3683 0.9336 0.2074  1 N 1.19
17 C 0.3881 0.2503 0.7549  1 N 1.19
18 C 0.4528 0.2689 0.2475  1 N 1.19
19 C 0.5472 0.7311 0.7475  1 N 1.19
20 C 0.6119 0.7497 0.2549  1 N 1.19
21 C 0.6317 0.0664 0.7074  1 N 1.19
22 C 0.8683 0.5664 0.2074  1 N 1.19
23 C 0.8881 0.2497 0.7549  1 N 1.19
24 C 0.9528 0.2311 0.2475  1 N 1.19
25 S 0.0488 0.8981 0.2449  1 C 1.63
26 S 0.1167 0.4368 0.8929  1 C 1.63
27 S 0.1687 0.8311 0.7307  1 C 1.63
28 S 0.3313 0.3311 0.2307  1 C 1.63
29 S 0.3833 0.9368 0.3929  1 C 1.63
30 S 0.4512 0.3981 0.7449  1 C 1.63
31 S 0.5488 0.6019 0.2449  1 C 1.63
32 S 0.6167 0.0632 0.8929  1 C 1.63
33 S 0.6687 0.6689 0.7307  1 C 1.63
34 S 0.8313 0.1689 0.2307  1 C 1.63
35 S 0.8833 0.5632 0.3929  1 C 1.63
36 S 0.9512 0.1019 0.7449  1 C 1.63
37 N 0.0418 0.2764 0.2609  1 C 1.19
38 N 0.1415 0.4316 0.5718  1 C 1.19
39 N 0.1568 0.6418 0.2634  1 C 1.19
40 N 0.3432 0.1418 0.7634  1 C 1.19
41 N 0.3585 0.9316 0.0718  1 C 1.19
42 N 0.4582 0.7764 0.7609  1 C 1.19
43 N 0.5418 0.2236 0.2609  1 C 1.19
44 N 0.6415 0.0684 0.5718  1 C 1.19
45 N 0.6568 0.8582 0.2634  1 C 1.19
46 N 0.8432 0.3582 0.7634  1 C 1.19
47 N 0.8585 0.5684 0.0718  1 C 1.19
48 N 0.9582 0.7236 0.7609  1 C 1.19

=====

# 3
## K2LiNb2P2C2O14 (PBE)

Data for a geometry-optimized K2LiNb2P2C2O14 structure.

Output
Final energy in eV for the cell shown: -168.9
E above lowest polymorph in kJ/mol of formula units: 0
E_form in eV per atom: -2.42

Cell lengths 5.2829, 6.6069, 10.5220 Å; angles 87.64, 87.54, 89.82 degrees
Last column: nearest neighbours and their distance in Å.
Positions (direct):
1 K 0.0000 0.0000 0.0000  4 O 2.73-2.95
2 K 0.4980 0.4948 0.4505  5 O 2.58-2.85
3 Li 0.9884 0.5031 0.1339  3 O 1.92-2.02
4 Nb 0.0331 0.1202 0.5662  6 O 2.02-2.16
5 Nb 0.4588 0.6071 0.8653  6 O 2.06-2.25
6 P 0.5313 0.1165 0.7845  4 O 1.54-1.56
7 P 0.9588 0.6207 0.6519  4 O 1.54-1.57
8 C 0.5471 0.6249 0.1105  3 O 1.24-1.35
9 C 0.9857 0.1872 0.3252  3 O 1.27-1.33
10 O 0.0206 0.4387 0.5667  1 P 1.56
11 O 0.0235 0.8144 0.5660  1 P 1.57
12 O 0.1196 0.6155 0.7705  1 P 1.54
13 O 0.2065 0.1648 0.3783  1 C 1.32
14 O 0.3140 0.6187 0.0691  1 C 1.33
15 O 0.3667 0.1331 0.6675  1 P 1.54
16 O 0.4636 0.9230 0.8695  1 P 1.56
17 O 0.4763 0.2953 0.8744  1 P 1.56
18 O 0.6081 0.6380 0.2228  1 C 1.24
19 O 0.6730 0.6185 0.6878  1 P 1.54
20 O 0.7263 0.6156 0.0162  1 C 1.35
21 O 0.7912 0.1608 0.4081  1 C 1.33
22 O 0.8166 0.1117 0.7455  1 P 1.55
23 O 0.9627 0.2339 0.2084  1 C 1.27

=====

# 4
## K2LiNb2P2C2O14 (PBE)

Data for a geometry-optimized K2LiNb2P2C2O14 structure.

Output
Final energy in eV for the cell shown: -168.9
E above lowest polymorph in kJ/mol of formula units: 6
E_form in eV per atom: -2.42

Cell lengths 5.3162, 6.6009, 10.2106 Å; angles 86.71, 87.09, 89.62 degrees
Last column: nearest neighbours and their distance in Å.
Positions (direct):
1 K 0.0000 0.0000 0.0000  4 O 2.71-2.89
2 K 0.4938 0.4324 0.5434  5 O 2.58-2.85
3 Li 0.0031 0.5178 0.8280  4 O 1.97-2.16
4 Nb 0.5309 0.5957 0.1149  6 O 2.06-2.27
5 Nb 0.9631 0.0609 0.4289  6 O 2.01-2.16
6 P 0.0276 0.5787 0.3351  4 O 1.54-1.58
7 P 0.4695 0.0900 0.2029  4 O 1.53-1.56
8 C 0.0083 0.1493 0.6674  3 O 1.27-1.33
9 C 0.4338 0.6244 0.8629  3 O 1.25-1.35
10 O 0.0301 0.2364 0.7734  1 C 1.27
11 O 0.1874 0.0903 0.2473  1 P 1.54
12 O 0.2024 0.1068 0.5864  1 C 1.33
13 O 0.2603 0.6197 0.9639  1 C 1.35
14 O 0.3116 0.5722 0.2969  1 P 1.54
15 O 0.3634 0.6286 0.7480  1 C 1.25
16 O 0.5174 0.9127 0.1092  1 P 1.56
17 O 0.5370 0.2841 0.1139  1 P 1.56
18 O 0.6379 0.0702 0.3206  1 P 1.53
19 O 0.6678 0.6197 0.9006  1 C 1.32
20 O 0.7902 0.1007 0.6218  1 C 1.32
21 O 0.8677 0.6119 0.2142  1 P 1.54
22 O 0.9512 0.3828 0.4179  1 P 1.55
23 O 0.9790 0.7560 0.4302  1 P 1.58

=====

# 5
## K2LuPCO7 (PBE)

Data for a geometry-optimized K2LuPCO7 structure.

Output
Final energy in eV for the cell shown: -169.8
E_form in eV per atom: -2.81

Cell lengths 5.7869, 7.0415, 9.8894 Å; angles 90.00, 91.61, 90.00 degrees
Last column: nearest neighbours and their distance in Å.
Positions (direct):
1 K 0.2459 0.0131 0.2271  4 O 2.56-2.85
2 K 0.2459 0.4869 0.2271  4 O 2.56-2.85
3 K 0.7541 0.5131 0.7729  4 O 2.56-2.85
4 K 0.7541 0.9869 0.7729  4 O 2.56-2.85
5 Lu 0.2228 0.2500 0.6365  6 O 2.16-2.28
6 Lu 0.7772 0.7500 0.3635  6 O 2.16-2.28
7 P 0.2872 0.7500 0.5693  4 O 1.55-1.57
8 P 0.7128 0.2500 0.4307  4 O 1.55-1.57
9 C 0.2705 0.2500 0.9076  3 O 1.26-1.33
10 C 0.7295 0.7500 0.0924  3 O 1.26-1.33
11 O 0.0653 0.2500 0.8457  1 C 1.32
12 O 0.1365 0.7500 0.4350  1 P 1.57
13 O 0.2354 0.5673 0.6506  1 P 1.55
14 O 0.2354 0.9327 0.6506  1 P 1.55
15 O 0.2999 0.2500 0.0340  1 C 1.26
16 O 0.4460 0.2500 0.8233  1 C 1.33
17 O 0.4510 0.2500 0.4673  1 P 1.57
18 O 0.5490 0.7500 0.5327  1 P 1.57
19 O 0.5540 0.7500 0.1767  1 C 1.33
20 O 0.7001 0.7500 0.9660  1 C 1.26
21 O 0.7646 0.0673 0.3494  1 P 1.55
22 O 0.7646 0.4327 0.3494  1 P 1.55
23 O 0.8635 0.2500 0.5650  1 P 1.57
24 O 0.9347 0.7500 0.1543  1 C 1.32

=====

# 6
## K2MgC2O6 (PBE)

Data for a geometry-optimized K2MgC2O6 structure.

Output
Final energy in eV for the cell shown: -72.8
E_form in eV per atom: -2.27

Cell lengths 5.2051, 5.2051, 6.7296 Å; angles 114.46, 114.46, 60.28 degrees
Last column: nearest neighbours and their distance in Å.
Positions (direct):
1 K 0.2157 0.2157 0.1380  7 O 2.73-2.94
2 K 0.7843 0.7843 0.8620  7 O 2.73-2.94
3 Mg 0.0000 0.0000 0.5000  6 O 2.12-2.13
4 C 0.3963 0.3963 0.7080  3 O 1.30-1.31
5 C 0.6037 0.6037 0.2920  3 O 1.30-1.31
6 O 0.2484 0.6810 0.7004  1 C 1.30
7 O 0.2618 0.2618 0.7345  1 C 1.31
8 O 0.3190 0.7516 0.2996  1 C 1.30
9 O 0.6810 0.2484 0.7004  1 C 1.30
10 O 0.7382 0.7382 0.2655  1 C 1.31
11 O 0.7516 0.3190 0.2996  1 C 1.30